Entry 1:
{
  "formula": "Li3V2P3O12",
  "functional": "PBE+U",
  "state": "optimized geometry",
  "m_tot_mub_per_atom": 0.20,
  "formation_enthalpy_0k_ev_per_atom": -2.698,
  "corrected_energy_ev_per_atom": -7.6734,
  "final_energy_ev_per_atom": -7.09,
  "lattice_angstrom": [[7.454, -4.389, 0.000], [7.454, 4.389, 0.000], [-4.810, 0.000, 7.238]],
  "species": ["Li", "Li", "Li", "Li", "Li", "Li", "V", "V", "V", "V", "P", "P", "P", "P", "P", "P", "O", "O", "O", "O", "O", "O", "O", "O", "O", "O", "O", "O", "O", "O", "O", "O", "O", "O", "O", "O", "O", "O", "O", "O"],
  "fractional_positions": [[0.070, 0.930, 0.500], [0.179, 0.631, 0.110], [0.498, 0.798, 0.432], [0.631, 0.179, 0.610], [0.798, 0.498, 0.932], [0.930, 0.070, 0.000], [0.050, 0.548, 0.338], [0.334, 0.836, 0.056], [0.548, 0.050, 0.838], [0.836, 0.334, 0.556], [0.144, 0.234, 0.948], [0.234, 0.144, 0.448], [0.442, 0.652, 0.654], [0.652, 0.442, 0.154], [0.732, 0.943, 0.238], [0.943, 0.732, 0.738], [0.083, 0.164, 0.511], [0.101, 0.760, 0.929], [0.117, 0.430, 0.100], [0.164, 0.083, 0.011], [0.185, 0.307, 0.392], [0.255, 0.952, 0.288], [0.272, 0.643, 0.474], [0.307, 0.185, 0.892], [0.397, 0.704, 0.826], [0.430, 0.117, 0.600], [0.460, 0.604, 0.143], [0.502, 0.803, 0.669], [0.574, 0.891, 0.215], [0.604, 0.460, 0.643], [0.643, 0.272, 0.974], [0.697, 0.994, 0.076], [0.704, 0.397, 0.326], [0.760, 0.101, 0.429], [0.783, 0.926, 0.760], [0.803, 0.502, 0.169], [0.891, 0.574, 0.715], [0.926, 0.783, 0.260], [0.952, 0.255, 0.788], [0.994, 0.697, 0.576]]
}

***

Entry 2:
{
  "formula": "YMn3Se2ClO8",
  "functional": "PBE+U",
  "state": "optimized geometry",
  "m_tot_mub_per_atom": 0.33,
  "formation_enthalpy_0k_ev_per_atom": -1.997,
  "corrected_energy_ev_per_atom": -7.4890,
  "final_energy_ev_per_atom": -6.79,
  "lattice_angstrom": [[6.540, 0.000, 0.000], [0.000, 9.832, 0.000], [0.000, 0.000, 7.406]],
  "species": ["Y", "Y", "Mn", "Mn", "Mn", "Mn", "Mn", "Mn", "Se", "Se", "Se", "Se", "Cl", "Cl", "O", "O", "O", "O", "O", "O", "O", "O", "O", "O", "O", "O", "O", "O", "O", "O"],
  "fractional_positions": [[0.250, 0.250, 0.234], [0.750, 0.750, 0.766], [0.000, 0.000, 0.500], [0.000, 0.500, 0.500], [0.250, 0.250, 0.706], [0.500, 0.000, 0.500], [0.500, 0.500, 0.500], [0.750, 0.750, 0.294], [0.250, 0.563, 0.914], [0.250, 0.937, 0.914], [0.750, 0.063, 0.086], [0.750, 0.437, 0.086], [0.250, 0.750, 0.361], [0.750, 0.250, 0.639], [0.043, 0.591, 0.771], [0.043, 0.909, 0.771], [0.250, 0.114, 0.928], [0.250, 0.117, 0.487], [0.250, 0.383, 0.487], [0.250, 0.386, 0.928], [0.457, 0.591, 0.771], [0.457, 0.909, 0.771], [0.543, 0.091, 0.229], [0.543, 0.409, 0.229], [0.750, 0.614, 0.072], [0.750, 0.617, 0.513], [0.750, 0.883, 0.513], [0.750, 0.886, 0.072], [0.957, 0.091, 0.229], [0.957, 0.409, 0.229]]
}